No. 1
DFT (PBE-GGA) results for a relaxed structure of AgSbTe2.

Unit cell a=7.4062 b=7.4062 c=7.4062 alpha=34.35 beta=34.35 gamma=34.35
Fractional coordinates of all 4 atoms:
Ag (0.0000, 0.0000, 0.0000)
Sb (0.5000, 0.5000, 0.5000)
Te (0.2537, 0.2537, 0.2537)
Te (0.7463, 0.7463, 0.7463)

Space group = R-3m

---

No. 2
DFT (PBE-GGA) results for a relaxed structure of ErScGe.

Unit cell a=6.0848 b=8.7488 c=8.7488 alpha=117.51 beta=90.00 gamma=90.00
Fractional coordinates of all 18 atoms:
Er (0.0000, 0.0000, 0.0000)
Er (0.0000, 0.4305, 0.6855)
Er (0.0000, 0.6855, 0.4305)
Er (0.5000, 0.4469, 0.4469)
Er (0.5000, 0.7147, 0.9769)
Er (0.5000, 0.9769, 0.7147)
Sc (0.0000, 0.0944, 0.7055)
Sc (0.0000, 0.7055, 0.0944)
Sc (0.2513, 0.0562, 0.3693)
Sc (0.2513, 0.3692, 0.0562)
Sc (0.7487, 0.0562, 0.3693)
Sc (0.7487, 0.3692, 0.0562)
Ge (0.0000, 0.3169, 0.3169)
Ge (0.2258, 0.7243, 0.7243)
Ge (0.5000, 0.1039, 0.1039)
Ge (0.5000, 0.3049, 0.7033)
Ge (0.5000, 0.7033, 0.3049)
Ge (0.7742, 0.7243, 0.7243)

Space group = Amm2

---

No. 3
DFT (PBE-GGA) results for a relaxed structure of LuAl3Fe7Si2.

Unit cell a=6.3966 b=6.3966 c=8.3892 alpha=130.70 beta=130.70 gamma=44.31
Fractional coordinates of all 13 atoms:
Lu (0.0000, 0.0000, 0.0000)
Al (0.3506, 0.3506, 0.3559)
Al (0.6483, 0.6483, 0.6332)
Al (0.9902, 0.9902, 0.6280)
Fe (0.0031, 0.4976, 0.4977)
Fe (0.2733, 0.2733, 0.7746)
Fe (0.4964, 0.4964, 0.2112)
Fe (0.4976, 0.0031, 0.4977)
Fe (0.5075, 0.5075, 0.7765)
Fe (0.7192, 0.7192, 0.2130)
Fe (0.9967, 0.9967, 0.3420)
Si (0.0015, 0.5070, 0.0015)
Si (0.5070, 0.0015, 0.0015)

Space group = Cm

---

No. 4
DFT (PBE-GGA) results for a relaxed structure of Na6Ta4Si9Ge4S3O48.

Unit cell a=8.7830 b=15.1418 c=22.3485 alpha=89.30 beta=89.73 gamma=89.97
Fractional coordinates of all 222 atoms:
Na (0.0000, 0.0000, 0.0000)
Na (0.0003, 0.3255, 0.8253)
Na (0.0138, 0.6608, 0.1583)
Na (0.0150, 0.6638, 0.6605)
Na (0.0204, 0.0015, 0.4959)
Na (0.1365, 0.4965, 0.7464)
Na (0.1501, 0.8268, 0.0808)
Na (0.3735, 0.3275, 0.5811)
Na (0.3829, 0.9943, 0.2389)
Na (0.5003, 0.5040, 0.9981)
Na (0.5041, 0.1622, 0.1585)
Na (0.5069, 0.1566, 0.6617)
Na (0.5184, 0.5048, 0.4973)
Na (0.5181, 0.8238, 0.3205)
Na (0.5225, 0.8305, 0.8299)
Na (0.6423, 0.3281, 0.0804)
Na (0.8782, 0.8278, 0.5805)
Na (0.9972, 0.3310, 0.3251)
Ta (0.0077, 0.3248, 0.4724)
Ta (0.0161, 0.9957, 0.3534)
Ta (0.0169, 0.3230, 0.1860)
Ta (0.0179, 0.3273, 0.9716)
Ta (0.5028, 0.4972, 0.8562)
Ta (0.5027, 0.8252, 0.4709)
Ta (0.5040, 0.8237, 0.6867)
Ta (0.5224, 0.4987, 0.3440)
Ta (0.5259, 0.8265, 0.9759)
Ta (0.5293, 0.1611, 0.8006)
Ta (0.9914, 0.6611, 0.2993)
Ta (0.9981, 0.9986, 0.8446)
Si (0.1408, 0.5267, 0.9111)
Si (0.1474, 0.4741, 0.5788)
Si (0.1584, 0.8537, 0.2406)
Si (0.1613, 0.1339, 0.2442)
Si (0.1622, 0.1765, 0.5767)
Si (0.2136, 0.8288, 0.5775)
Si (0.2242, 0.4952, 0.2454)
Si (0.2972, 0.9966, 0.7452)
Si (0.3081, 0.3292, 0.0769)
Si (0.3555, 0.6381, 0.7478)
Si (0.3618, 0.6766, 0.0767)
Si (0.3729, 0.3554, 0.7412)
Si (0.3739, 0.0213, 0.4078)
Si (0.3754, 0.9743, 0.0783)
Si (0.6411, 0.6421, 0.2341)
Si (0.6469, 0.3486, 0.2403)
Si (0.6499, 0.6776, 0.5803)
Si (0.6507, 0.0211, 0.9145)
Si (0.6517, 0.3002, 0.9149)
Si (0.7378, 0.6630, 0.9110)
Si (0.7795, 0.1613, 0.4109)
Si (0.8028, 0.8278, 0.0825)
Si (0.8672, 0.5230, 0.4148)
Si (0.8713, 0.1788, 0.0802)
Si (0.8709, 0.8001, 0.4150)
Si (0.8739, 0.8489, 0.7407)
Si (0.8801, 0.1416, 0.7340)
Ge (0.0058, 0.6668, 0.8073)
Ge (0.0080, 0.6614, 0.0155)
Ge (0.0313, 0.9939, 0.1358)
Ge (0.0350, 0.9955, 0.6437)
Ge (0.0458, 0.3210, 0.6786)
Ge (0.4786, 0.5046, 0.6420)
Ge (0.4885, 0.4966, 0.1430)
Ge (0.4956, 0.8183, 0.1732)
Ge (0.4984, 0.1504, 0.5098)
Ge (0.5194, 0.1609, 0.3029)
Ge (0.5288, 0.1602, 0.0220)
Ge (0.9941, 0.6606, 0.5217)
S (0.1548, 0.8069, 0.9104)
S (0.2276, 0.1599, 0.9112)
S (0.2922, 0.6593, 0.4117)
S (0.3679, 0.3061, 0.4116)
S (0.6502, 0.9762, 0.5759)
S (0.7222, 0.3271, 0.5792)
S (0.7271, 0.9962, 0.2440)
S (0.7930, 0.4946, 0.7421)
S (0.8695, 0.4754, 0.0770)
O (0.0706, 0.4259, 0.9170)
O (0.0724, 0.4275, 0.6399)
O (0.0736, 0.5666, 0.8481)
O (0.0779, 0.5720, 0.5706)
O (0.0780, 0.8943, 0.1808)
O (0.0792, 0.0823, 0.5842)
O (0.0787, 0.0947, 0.3040)
O (0.0831, 0.8963, 0.9047)
O (0.0845, 0.2319, 0.2385)
O (0.0839, 0.7563, 0.2515)
O (0.0854, 0.2254, 0.5185)
O (0.0885, 0.7698, 0.9666)
O (0.1006, 0.9154, 0.5835)
O (0.1088, 0.7402, 0.5715)
O (0.1133, 0.4100, 0.2389)
O (0.1189, 0.5824, 0.2530)
O (0.1189, 0.5851, 0.9703)
O (0.1214, 0.4057, 0.5235)
O (0.1228, 0.0824, 0.9062)
O (0.1241, 0.9164, 0.2990)
O (0.1261, 0.2416, 0.9143)
O (0.1273, 0.7535, 0.8562)
O (0.1376, 0.0709, 0.1866)
O (0.1549, 0.2466, 0.6329)
O (0.1712, 0.6470, 0.7542)
O (0.1749, 0.6719, 0.0679)
O (0.1839, 0.3493, 0.7369)
O (0.1881, 0.9792, 0.0817)
O (0.1889, 0.0091, 0.4048)
O (0.1913, 0.9809, 0.8044)
O (0.1924, 0.3178, 0.1341)
O (0.1974, 0.3151, 0.4163)
O (0.1979, 0.3456, 0.0182)
O (0.2024, 0.0151, 0.6847)
O (0.2046, 0.6733, 0.3573)
O (0.2055, 0.6480, 0.4674)
O (0.3140, 0.1482, 0.9662)
O (0.3168, 0.1735, 0.8562)
O (0.3206, 0.5137, 0.1852)
O (0.3218, 0.8159, 0.9145)
O (0.3236, 0.8454, 0.5186)
O (0.3280, 0.5123, 0.9063)
O (0.3294, 0.4803, 0.3052)
O (0.3288, 0.8175, 0.6344)
O (0.3366, 0.4777, 0.5834)
O (0.3450, 0.8480, 0.2352)
O (0.3471, 0.1436, 0.2522)
O (0.3535, 0.1753, 0.5675)
O (0.3700, 0.5770, 0.6877)
O (0.3698, 0.7454, 0.1333)
O (0.3863, 0.0778, 0.4692)
O (0.3933, 0.2531, 0.3578)
O (0.3949, 0.7405, 0.4152)
O (0.3970, 0.5817, 0.4074)
O (0.3988, 0.4184, 0.7984)
O (0.3990, 0.9073, 0.0219)
O (0.4033, 0.0835, 0.7521)
O (0.4078, 0.9113, 0.7378)
O (0.4116, 0.2403, 0.0710)
O (0.4205, 0.4154, 0.0834)
O (0.4297, 0.2671, 0.4683)
O (0.4347, 0.3957, 0.4079)
O (0.4356, 0.7342, 0.7401)
O (0.4409, 0.7253, 0.0183)
O (0.4420, 0.2572, 0.7486)
O (0.4420, 0.5946, 0.8040)
O (0.4464, 0.0726, 0.0701)
O (0.4481, 0.0656, 0.3480)
O (0.4478, 0.3974, 0.6788)
O (0.4482, 0.5825, 0.0843)
O (0.4489, 0.9227, 0.4160)
O (0.4490, 0.9294, 0.1393)
O (0.5653, 0.7397, 0.2326)
O (0.5683, 0.2513, 0.2502)
O (0.5727, 0.7267, 0.5216)
O (0.5733, 0.9234, 0.9176)
O (0.5741, 0.3944, 0.1806)
O (0.5755, 0.2597, 0.9756)
O (0.5750, 0.5791, 0.5896)
O (0.5774, 0.0656, 0.5715)
O (0.5772, 0.3982, 0.9046)
O (0.5768, 0.5980, 0.2985)
O (0.5839, 0.0651, 0.8526)
O (0.5855, 0.9359, 0.6307)
O (0.6174, 0.9208, 0.5224)
O (0.6199, 0.2437, 0.8544)
O (0.6199, 0.2487, 0.5735)
O (0.6197, 0.5727, 0.1810)
O (0.6215, 0.4110, 0.3004)
O (0.6213, 0.7474, 0.9163)
O (0.6232, 0.0828, 0.9718)
O (0.6228, 0.7456, 0.6353)
O (0.6250, 0.0782, 0.2474)
O (0.6260, 0.9186, 0.2427)
O (0.6270, 0.4075, 0.5799)
O (0.6306, 0.5744, 0.9038)
O (0.6778, 0.1501, 0.4730)
O (0.6800, 0.1829, 0.3514)
O (0.6807, 0.5097, 0.4073)
O (0.6853, 0.8116, 0.4216)
O (0.6861, 0.1767, 0.0750)
O (0.6859, 0.8082, 0.1377)
O (0.6893, 0.8416, 0.7345)
O (0.6953, 0.1512, 0.7447)
O (0.6976, 0.5080, 0.6880)
O (0.7013, 0.4838, 0.7976)
O (0.7005, 0.8445, 0.0213)
O (0.7029, 0.4808, 0.0790)
O (0.8168, 0.9832, 0.5779)
O (0.8189, 0.0101, 0.1899)
O (0.8190, 0.3135, 0.6320)
O (0.8186, 0.9872, 0.2994)
O (0.8197, 0.3373, 0.5236)
O (0.8268, 0.6504, 0.2446)
O (0.8318, 0.3412, 0.2358)
O (0.8349, 0.6746, 0.5752)
O (0.8358, 0.6828, 0.8499)
O (0.8369, 0.3121, 0.9199)
O (0.8368, 0.6486, 0.9716)
O (0.8382, 0.0097, 0.9060)
O (0.8885, 0.0745, 0.4051)
O (0.8927, 0.4152, 0.7387)
O (0.8940, 0.2471, 0.4198)
O (0.8955, 0.5744, 0.7453)
O (0.8957, 0.2479, 0.1351)
O (0.8971, 0.5825, 0.4731)
O (0.8982, 0.9125, 0.7997)
O (0.9003, 0.7422, 0.3553)
O (0.9022, 0.4195, 0.0231)
O (0.9028, 0.0737, 0.6799)
O (0.9136, 0.9144, 0.0870)
O (0.9153, 0.7411, 0.0706)
O (0.9337, 0.4335, 0.1313)
O (0.9391, 0.5634, 0.3532)
O (0.9415, 0.5633, 0.0727)
O (0.9414, 0.8987, 0.4052)
O (0.9418, 0.4234, 0.4219)
O (0.9455, 0.7601, 0.4763)
O (0.9458, 0.2301, 0.0212)
O (0.9470, 0.8946, 0.6803)
O (0.9477, 0.0999, 0.7976)
O (0.9489, 0.0833, 0.0884)
O (0.9497, 0.2425, 0.7281)
O (0.9514, 0.7518, 0.7504)

Space group = P1

---

No. 5
DFT (PBE-GGA) results for a relaxed structure of Ge2C2Se3F6.

Unit cell a=11.6270 b=11.6270 c=11.6270 alpha=60.00 beta=60.00 gamma=60.00
Fractional coordinates of all 52 atoms:
Ge (0.1058, 0.7981, 0.7981)
Ge (0.2019, 0.2019, 0.2019)
Ge (0.2019, 0.2019, 0.8942)
Ge (0.2019, 0.8942, 0.2019)
Ge (0.7981, 0.1058, 0.7981)
Ge (0.7981, 0.7981, 0.1058)
Ge (0.7981, 0.7981, 0.7981)
Ge (0.8942, 0.2019, 0.2019)
C (0.2741, 0.2741, 0.2741)
C (0.2741, 0.2741, 0.6776)
C (0.2741, 0.6776, 0.2741)
C (0.3224, 0.7259, 0.7259)
C (0.6776, 0.2741, 0.2741)
C (0.7259, 0.3224, 0.7259)
C (0.7259, 0.7259, 0.3224)
C (0.7259, 0.7259, 0.7259)
Se (0.0477, 0.0477, 0.7023)
Se (0.0477, 0.7023, 0.0477)
Se (0.0477, 0.7023, 0.7023)
Se (0.2977, 0.2977, 0.9523)
Se (0.2977, 0.9523, 0.2977)
Se (0.2977, 0.9523, 0.9523)
Se (0.7023, 0.0477, 0.0477)
Se (0.7023, 0.0477, 0.7023)
Se (0.7023, 0.7023, 0.0477)
Se (0.9523, 0.2977, 0.2977)
Se (0.9523, 0.2977, 0.9523)
Se (0.9523, 0.9523, 0.2977)
F (0.1655, 0.3546, 0.3546)
F (0.1655, 0.3546, 0.6253)
F (0.1655, 0.6253, 0.3546)
F (0.3546, 0.1655, 0.3546)
F (0.3546, 0.1655, 0.6253)
F (0.3546, 0.3546, 0.1655)
F (0.3546, 0.3546, 0.6253)
F (0.3546, 0.6253, 0.1655)
F (0.3546, 0.6253, 0.3546)
F (0.3747, 0.6454, 0.6454)
F (0.3747, 0.6454, 0.8345)
F (0.3747, 0.8345, 0.6454)
F (0.6253, 0.1655, 0.3546)
F (0.6253, 0.3546, 0.1655)
F (0.6253, 0.3546, 0.3546)
F (0.6454, 0.3747, 0.6454)
F (0.6454, 0.3747, 0.8345)
F (0.6454, 0.6454, 0.3747)
F (0.6454, 0.6454, 0.8345)
F (0.6454, 0.8345, 0.3747)
F (0.6454, 0.8345, 0.6454)
F (0.8345, 0.3747, 0.6454)
F (0.8345, 0.6454, 0.3747)
F (0.8345, 0.6454, 0.6454)

Space group = Fd-3m

---

Record-wise formation enthalpy at 0 K values, in meV per atom: -294 -501 -249 -2699 -1245
Record-wise total DFT energy (no corrections) values, in eV per atom: -3.40 -5.68 -6.87 -7.29 -4.85